A plane-wave DFT calculation with PBE+U was carried out for crystalline MgFe8O8F8 at its relaxed geometry.

Calculated values
Symmetry   Pm, No. 6
DFT total energy   -5.9944 eV per atom

Cell lengths 9.7084, 3.1084, 9.7855 Å; angles 90.00, 92.67, 90.00 degrees
Closest atoms and distances in Å follow each position.
Fractional positions:
Mg  0.0000  0.0000  0.0000  4 O 1.98-2.12, 2 F 2.05
Fe  0.2488  0.0000  0.4863  6 F 2.09-2.14
Fe  0.2853  0.0000  0.9403  3 O 1.91-2.09
Fe  0.5107  0.5000  0.2336  3 O 1.94-1.96, 2 F 2.14
Fe  0.5155  0.5000  0.7517  3 O 1.86-1.95
Fe  0.7184  0.0000  0.9950  3 O 1.90-1.97
Fe  0.7327  0.0000  0.4706  3 O 1.90-1.96, 2 F 2.09
Fe  0.9526  0.5000  0.2603  3 O 1.89-1.97, 2 F 2.11
Fe  0.9935  0.5000  0.7479  3 O 1.99-2.03, 3 F 2.09-2.18
O  0.0973  0.0000  0.8265  1 Mg 1.98, 3 Fe 1.99-2.09
O  0.3676  0.5000  0.8651  3 Fe 1.86-1.91
O  0.5865  0.0000  0.3338  3 Fe 1.90-1.96
O  0.6168  0.0000  0.8243  3 Fe 1.90-1.95
O  0.6324  0.5000  0.0816  3 Fe 1.94-1.97
O  0.8358  0.5000  0.4098  3 Fe 1.89-1.96
O  0.8753  0.5000  0.9131  1 Fe 2.03, 2 Mg 2.12
O  0.8791  0.0000  0.1574  3 Fe 1.97-2.17, 1 Mg 1.98
F  0.0804  0.0000  0.3376  3 Fe 2.11-2.14
F  0.1082  0.5000  0.0896  2 Mg 2.05
F  0.1362  0.5000  0.5818  3 Fe 2.14-2.18
F  0.3412  0.5000  0.3764  3 Fe 2.11-2.21
F  0.3882  0.0000  0.1401  3 Fe 2.14-2.15
F  0.4170  0.0000  0.6279  3 Fe 2.09-2.17
F  0.6450  0.5000  0.5800  3 Fe 2.09-2.14
F  0.8869  0.0000  0.6460  3 Fe 2.09-2.22